1.
This record from Materials Project describes a relaxed structure of Mn2VO4. The functional is PBE+U.

POSCAR file:
```
Mn2VO4
1.0
6.1157 0.0000 0.0000
3.0449 5.3699 0.0000
2.9955 1.6583 25.2413
Mn V O
20 10 40
Direct
0.0000 0.0000 0.0000 Mn
0.0004 0.4970 0.5014 Mn
0.0687 0.0840 0.7740 Mn
0.1280 0.1121 0.6281 Mn
0.1965 0.1927 0.4015 Mn
0.1996 0.6954 0.9018 Mn
0.2787 0.2647 0.1786 Mn
0.3127 0.7857 0.1023 Mn
0.3927 0.9039 0.2998 Mn
0.3947 0.3977 0.3002 Mn
0.3983 0.3979 0.8016 Mn
0.4717 0.4810 0.5746 Mn
0.5340 0.5100 0.4257 Mn
0.5993 0.0955 0.7019 Mn
0.6750 0.6717 0.9750 Mn
0.7317 0.7044 0.8284 Mn
0.7986 0.7970 0.6015 Mn
0.7996 0.2997 0.1018 Mn
0.8026 0.7871 0.1012 Mn
0.8523 0.8865 0.3766 Mn
0.0011 0.9954 0.5019 V
0.0999 0.5972 0.7014 V
0.2028 0.1884 0.9008 V
0.3300 0.3132 0.0264 V
0.4979 0.9968 0.5012 V
0.5975 0.5972 0.7013 V
0.6135 0.5901 0.1998 V
0.7049 0.1882 0.9008 V
0.9016 0.3986 0.3033 V
0.9322 0.9203 0.2235 V
0.0239 0.0951 0.3452 O
0.0256 0.5354 0.3464 O
0.0354 0.0666 0.8577 O
0.0842 0.5003 0.8595 O
0.1187 0.6921 0.5455 O
0.1615 0.1473 0.0510 O
0.1634 0.6258 0.0485 O
0.1641 0.1257 0.5453 O
0.2014 0.2680 0.2590 O
0.2424 0.2921 0.7452 O
0.2543 0.7478 0.2466 O
0.2612 0.7296 0.7449 O
0.3220 0.8847 0.9448 O
0.3400 0.8589 0.4590 O
0.3590 0.3015 0.4576 O
0.3607 0.3215 0.9546 O
0.4347 0.4677 0.6577 O
0.4733 0.4584 0.1570 O
0.4773 0.9003 0.1572 O
0.4799 0.9011 0.6582 O
0.5073 0.0700 0.3488 O
0.5376 0.0616 0.8584 O
0.5522 0.5005 0.8598 O
0.5726 0.5428 0.3401 O
0.6403 0.1480 0.0508 O
0.6430 0.6917 0.5452 O
0.6521 0.6387 0.0557 O
0.6638 0.1281 0.5443 O
0.7157 0.2926 0.7454 O
0.7615 0.2456 0.2472 O
0.7630 0.7391 0.2479 O
0.7653 0.7212 0.7455 O
0.8340 0.8706 0.4590 O
0.8456 0.8847 0.9448 O
0.8674 0.3202 0.9434 O
0.8842 0.2993 0.4573 O
0.9182 0.4609 0.1551 O
0.9355 0.4639 0.6591 O
0.9563 0.9015 0.6582 O
0.9559 0.9432 0.1516 O
```

Results
ΔH_f (0 K)   -15.39 eV/f.u.
VASP energy   -54.8 eV/f.u.
E above lowest polymorph   2 meV/atom
MP2020-corrected energy   -625.898 eV per cell

***

2.
This record from Materials Project describes a relaxed structure of Fe4O3F5. The functional is PBE+U.

POSCAR file:
```
Fe4O3F5
1.0
6.1983 0.0000 0.0000
0.0000 4.8867 0.0000
-3.0703 0.0000 9.6259
Fe O F
8 6 10
Direct
0.0611 0.0000 0.3699 Fe
0.1719 0.4948 0.1036 Fe
0.3035 0.9274 0.8614 Fe
0.4274 0.5540 0.5979 Fe
0.5726 0.0540 0.4021 Fe
0.6965 0.4274 0.1386 Fe
0.8281 0.9948 0.8964 Fe
0.9389 0.5000 0.6301 Fe
0.1106 0.7913 0.9706 O
0.2502 0.6787 0.7178 O
0.3670 0.8115 0.4528 O
0.6330 0.3115 0.5472 O
0.7498 0.1787 0.2822 O
0.8894 0.2913 0.0294 O
0.0193 0.1730 0.7845 F
0.1508 0.3065 0.5217 F
0.2737 0.2151 0.2623 F
0.3842 0.2871 0.0172 F
0.4792 0.6600 0.2021 F
0.5208 0.1600 0.7979 F
0.6158 0.7871 0.9828 F
0.7263 0.7151 0.7377 F
0.8492 0.8065 0.4783 F
0.9807 0.6730 0.2155 F
```

Results
ΔH_f (0 K)   -25.64 eV/f.u.
VASP energy   -70.5 eV/f.u.
E above lowest polymorph   58 meV/atom
MP2020-corrected energy   -167.881 eV per cell

***

3.
This record from Materials Project describes a relaxed structure of Li3NiPCO7. The functional is PBE+U.

POSCAR file:
```
Li3NiPCO7
1.0
8.5022 0.0000 0.0000
0.0000 6.3414 0.0000
-0.8591 0.0000 9.7315
Li Ni P C O
12 4 4 4 28
Direct
0.1001 0.2487 0.1166 Li
0.1001 0.2513 0.6166 Li
0.2796 0.0097 0.8806 Li
0.2796 0.4903 0.3806 Li
0.3479 0.7473 0.6098 Li
0.3479 0.7527 0.1098 Li
0.6521 0.2473 0.8902 Li
0.6521 0.2527 0.3902 Li
0.7204 0.5097 0.6194 Li
0.7204 0.9903 0.1194 Li
0.8999 0.7487 0.3834 Li
0.8999 0.7513 0.8834 Li
0.2730 0.0094 0.3748 Ni
0.2730 0.4906 0.8748 Ni
0.7270 0.5094 0.1252 Ni
0.7270 0.9906 0.6252 Ni
0.4092 0.2481 0.1395 P
0.4092 0.2519 0.6395 P
0.5908 0.7481 0.3605 P
0.5908 0.7519 0.8605 P
0.0386 0.7495 0.1477 C
0.0386 0.7505 0.6477 C
0.9614 0.2495 0.3523 C
0.9614 0.2505 0.8523 C
0.0693 0.7443 0.0229 O
0.0693 0.7557 0.5229 O
0.1100 0.2376 0.3196 O
0.1100 0.2624 0.8196 O
0.1483 0.7335 0.7485 O
0.1483 0.7665 0.2485 O
0.3089 0.0580 0.5842 O
0.3089 0.4420 0.0842 O
0.3155 0.0555 0.0828 O
0.3155 0.4445 0.5828 O
0.4190 0.2438 0.3006 O
0.4190 0.2562 0.8006 O
0.4199 0.7411 0.9045 O
0.4199 0.7589 0.4045 O
0.5801 0.2411 0.5955 O
0.5801 0.2589 0.0955 O
0.5810 0.7438 0.1994 O
0.5810 0.7562 0.6994 O
0.6845 0.5555 0.4172 O
0.6845 0.9445 0.9172 O
0.6911 0.5580 0.9158 O
0.6911 0.9420 0.4158 O
0.8517 0.2335 0.7515 O
0.8517 0.2665 0.2515 O
0.8900 0.7376 0.1804 O
0.8900 0.7624 0.6804 O
0.9307 0.2443 0.4771 O
0.9307 0.2557 0.9771 O
```

Results
ΔH_f (0 K)   -29.27 eV/f.u.
VASP energy   -82.7 eV/f.u.
E above lowest polymorph   42 meV/atom
MP2020-corrected energy   -360.222 eV per cell

***

4.
This record from Materials Project describes a relaxed structure of Mn3NbO8. The functional is PBE+U.

POSCAR file:
```
Mn3NbO8
1.0
2.9939 -5.0812 0.0000
2.9939 5.0812 0.0000
-0.2775 0.0000 9.3887
Mn Nb O
6 2 16
Direct
0.0834 0.9166 0.5000 Mn
0.4147 0.5825 0.9988 Mn
0.5777 0.9170 0.4970 Mn
0.5825 0.4147 0.4988 Mn
0.9166 0.0834 0.0000 Mn
0.9170 0.5777 0.9970 Mn
0.0910 0.4166 0.7143 Nb
0.4166 0.0910 0.2143 Nb
0.0846 0.9110 0.1167 O
0.0898 0.4191 0.0999 O
0.2277 0.7128 0.8847 O
0.2561 0.2971 0.8695 O
0.2836 0.7968 0.3742 O
0.2971 0.2561 0.3695 O
0.4180 0.5914 0.6075 O
0.4191 0.0898 0.5999 O
0.5694 0.9072 0.1196 O
0.5914 0.4180 0.1075 O
0.7128 0.2277 0.3847 O
0.7447 0.7474 0.9042 O
0.7474 0.7447 0.4042 O
0.7968 0.2836 0.8742 O
0.9072 0.5694 0.6196 O
0.9110 0.0846 0.6167 O
```

Results
ΔH_f (0 K)   -25.68 eV/f.u.
VASP energy   -92.3 eV/f.u.
E above lowest polymorph   0 meV/atom
MP2020-corrected energy   -205.699 eV per cell

***

5.
This record from Materials Project describes a relaxed structure of FeP2HO7. The functional is PBE+U.

POSCAR file:
```
FeP2HO7
1.0
4.9649 0.0000 0.0000
0.0000 12.9219 0.0000
-3.7579 0.0000 8.1300
Fe P H O
4 8 4 28
Direct
0.0901 0.1247 0.4928 Fe
0.0901 0.3753 0.9928 Fe
0.9099 0.6247 0.0072 Fe
0.9099 0.8753 0.5072 Fe
0.2247 0.6734 0.7536 P
0.2247 0.8266 0.2536 P
0.4073 0.0403 0.2507 P
0.4073 0.4597 0.7507 P
0.5927 0.5403 0.2493 P
0.5927 0.9597 0.7493 P
0.7753 0.1734 0.7464 P
0.7753 0.3266 0.2464 P
0.4360 0.1739 0.1018 H
0.4360 0.3261 0.6018 H
0.5640 0.6739 0.3982 H
0.5640 0.8261 0.8982 H
0.0152 0.1483 0.6895 O
0.0152 0.3517 0.1895 O
0.1373 0.7464 0.1176 O
0.1373 0.7536 0.6176 O
0.1903 0.0913 0.3056 O
0.1903 0.4087 0.8056 O
0.2820 0.5213 0.1050 O
0.2820 0.9787 0.6050 O
0.2870 0.5701 0.6703 O
0.2870 0.9299 0.1703 O
0.4310 0.0955 0.1032 O
0.4310 0.4045 0.6032 O
0.4754 0.2021 0.6035 O
0.4754 0.2979 0.1035 O
0.5246 0.7021 0.8965 O
0.5246 0.7979 0.3965 O
0.5690 0.5955 0.3968 O
0.5690 0.9045 0.8968 O
0.7130 0.0701 0.8297 O
0.7130 0.4299 0.3297 O
0.7180 0.0213 0.3950 O
0.7180 0.4787 0.8950 O
0.8097 0.5913 0.1944 O
0.8097 0.9087 0.6944 O
0.8627 0.2464 0.3824 O
0.8627 0.2536 0.8824 O
0.9848 0.6483 0.8105 O
0.9848 0.8517 0.3105 O
```

Results
ΔH_f (0 K)   -25.28 eV/f.u.
VASP energy   -75.5 eV/f.u.
E above lowest polymorph   0 meV/atom
MP2020-corrected energy   -330.409 eV per cell

***

ΔH_f (0 K) of number 1 (Mn2VO4)?
-15.39 eV/f.u.

***

Which formula does entry 4 have?
Mn3NbO8